[1]
This record from Materials Project describes crystalline CsRb2GaF6 at its relaxed geometry. The functional is PBE.

Structure (POSCAR):
```
CsRb2GaF6
1.0
0.000 4.726 4.726
4.726 0.000 4.726
4.726 4.726 0.000
Cs Rb Ga F
1 2 1 6
Direct
0.000 0.000 0.000
0.250 0.250 0.250
0.750 0.750 0.750
0.500 0.500 0.500
0.296 0.296 0.704
0.296 0.704 0.296
0.296 0.704 0.704
0.704 0.296 0.296
0.704 0.296 0.704
0.704 0.704 0.296
```

Calculated values
**Final energy**: -4.46 eV/atom
**Theoretical density**: 3.83 g/cm3
**Formation energy from the elements**: -2.996 eV/atom



[2]
This record from Materials Project describes crystalline Cs2TlGaF6 at its relaxed geometry. The functional is PBE.

Structure (POSCAR):
```
Cs2TlGaF6
1.0
0.000 4.666 4.666
4.666 0.000 4.666
4.666 4.666 0.000
Cs Tl Ga F
2 1 1 6
Direct
0.250 0.250 0.250
0.750 0.750 0.750
0.000 0.000 0.000
0.500 0.500 0.500
0.292 0.292 0.708
0.292 0.708 0.292
0.292 0.708 0.708
0.708 0.292 0.292
0.708 0.292 0.708
0.708 0.708 0.292
```

Calculated values
**Final energy**: -4.44 eV/atom
**Theoretical density**: 5.35 g/cm3
**Formation energy from the elements**: -2.854 eV/atom



[3]
This record from Materials Project describes crystalline Cs2GeF6 at its relaxed geometry. The functional is PBE.

Structure (POSCAR):
```
Cs2GeF6
1.0
0.000 4.586 4.586
4.586 0.000 4.586
4.586 4.586 0.000
Cs Ge F
2 1 6
Direct
0.250 0.250 0.250
0.750 0.750 0.750
0.000 0.000 0.000
0.201 0.201 0.799
0.201 0.799 0.201
0.201 0.799 0.799
0.799 0.201 0.201
0.799 0.201 0.799
0.799 0.799 0.201
```

Calculated values
**Final energy**: -4.74 eV/atom
**Theoretical density**: 3.89 g/cm3
**Formation energy from the elements**: -3.055 eV/atom



[4]
This record from Materials Project describes crystalline Cs3GeF7 at its relaxed geometry. The functional is PBE.

Structure (POSCAR):
```
Cs3GeF7
1.0
8.582 0.000 0.000
0.000 8.582 0.000
0.000 0.000 6.332
Cs Ge F
6 2 14
Direct
0.000 0.000 0.000
0.195 0.305 0.500
0.305 0.805 0.500
0.500 0.500 0.000
0.695 0.195 0.500
0.805 0.695 0.500
0.000 0.500 0.000
0.500 0.000 0.000
0.000 0.000 0.500
0.106 0.606 0.207
0.106 0.606 0.793
0.151 0.349 0.000
0.349 0.849 0.000
0.394 0.106 0.207
0.394 0.106 0.793
0.500 0.500 0.500
0.606 0.894 0.207
0.606 0.894 0.793
0.651 0.151 0.000
0.849 0.651 0.000
0.894 0.394 0.207
0.894 0.394 0.793
```

Calculated values
**Final energy**: -4.60 eV/atom
**Theoretical density**: 4.30 g/cm3
**Formation energy from the elements**: -3.014 eV/atom



[5]
This record from Materials Project describes crystalline Cs2Na2SnGeF12 at its relaxed geometry. The functional is PBE.

Structure (POSCAR):
```
Cs2Na2SnGeF12
1.0
8.619 0.000 0.000
0.000 6.680 0.000
0.000 0.000 11.321
Cs Na Sn Ge F
4 4 2 2 24
Direct
0.246 0.178 0.000
0.246 0.822 0.500
0.754 0.178 0.000
0.754 0.822 0.500
0.000 0.297 0.322
0.000 0.703 0.822
0.500 0.296 0.678
0.500 0.704 0.178
0.500 0.270 0.329
0.500 0.730 0.829
0.000 0.268 0.672
0.000 0.732 0.172
0.000 0.005 0.720
0.000 0.184 0.517
0.000 0.352 0.829
0.000 0.465 0.128
0.000 0.535 0.628
0.000 0.648 0.329
0.000 0.816 0.017
0.000 0.995 0.220
0.212 0.267 0.672
0.212 0.733 0.172
0.269 0.265 0.329
0.269 0.735 0.829
0.500 0.015 0.778
0.500 0.171 0.496
0.500 0.362 0.159
0.500 0.438 0.875
0.500 0.562 0.375
0.500 0.638 0.659
0.500 0.829 0.996
0.500 0.985 0.278
0.731 0.265 0.329
0.731 0.735 0.829
0.788 0.267 0.672
0.788 0.733 0.172
```

Calculated values
**Final energy**: -4.71 eV/atom
**Theoretical density**: 3.73 g/cm3
**Formation energy from the elements**: -3.018 eV/atom



[6]
This record from Materials Project describes crystalline CsHIF7 at its relaxed geometry. The functional is PBE.

Structure (POSCAR):
```
CsHIF7
1.0
5.423 0.000 0.000
-0.269 8.303 0.000
-2.602 -2.953 7.687
Cs H I F
2 2 2 14
Direct
0.153 0.333 0.230
0.847 0.667 0.770
0.183 0.722 0.557
0.817 0.278 0.443
0.306 0.151 0.739
0.694 0.849 0.261
0.053 0.852 0.530
0.114 0.334 0.836
0.224 0.039 0.890
0.270 0.624 0.587
0.409 0.986 0.282
0.432 0.720 0.045
0.475 0.309 0.665
0.525 0.691 0.335
0.568 0.280 0.955
0.591 0.014 0.718
0.730 0.376 0.413
0.776 0.961 0.110
0.886 0.666 0.164
0.947 0.148 0.470
```

Calculated values
**Final energy**: -3.82 eV/atom
**Theoretical density**: 3.78 g/cm3
**Formation energy from the elements**: -2.223 eV/atom



[7]
This record from Materials Project describes crystalline CsH4NF2 at its relaxed geometry. The functional is PBE.

Structure (POSCAR):
```
CsH4NF2
1.0
7.388 0.000 0.000
0.000 4.202 0.000
0.000 0.000 13.746
Cs H N F
4 16 4 8
Direct
0.110 0.250 0.144
0.390 0.750 0.644
0.610 0.250 0.356
0.890 0.750 0.856
0.012 0.750 0.362
0.167 0.545 0.435
0.167 0.955 0.435
0.233 0.750 0.333
0.267 0.250 0.833
0.333 0.045 0.935
0.333 0.455 0.935
0.488 0.250 0.862
0.512 0.750 0.138
0.667 0.545 0.065
0.667 0.955 0.065
0.733 0.750 0.167
0.767 0.250 0.667
0.833 0.045 0.565
0.833 0.455 0.565
0.988 0.250 0.638
0.141 0.750 0.392
0.359 0.250 0.892
0.641 0.750 0.108
0.859 0.250 0.608
0.135 0.250 0.742
0.245 0.750 0.995
0.255 0.250 0.495
0.365 0.750 0.242
0.635 0.250 0.758
0.745 0.750 0.505
0.755 0.250 0.005
0.865 0.750 0.258
```

Calculated values
**Final energy**: -4.67 eV/atom
**Theoretical density**: 2.94 g/cm3
**Formation energy from the elements**: -1.461 eV/atom



[8]
This record from Materials Project describes crystalline CsPHO3F at its relaxed geometry. The functional is PBE.

Structure (POSCAR):
```
CsPHO3F
1.0
5.521 0.000 0.000
-0.136 6.013 0.000
-1.146 -2.768 7.373
Cs P H O F
2 2 2 6 2
Direct
0.094 0.364 0.227
0.906 0.636 0.773
0.341 0.129 0.736
0.659 0.871 0.264
0.473 0.813 0.532
0.527 0.187 0.468
0.118 0.166 0.825
0.370 0.855 0.639
0.385 0.271 0.616
0.615 0.729 0.384
0.630 0.145 0.361
0.882 0.834 0.175
0.424 0.795 0.104
0.576 0.205 0.896
```

Calculated values
**Final energy**: -5.91 eV/atom
**Theoretical density**: 3.15 g/cm3
**Formation energy from the elements**: -2.492 eV/atom



[9]
This record from Materials Project describes crystalline CsHS2O6F2 at its relaxed geometry. The functional is PBE.

Structure (POSCAR):
```
CsHS2O6F2
1.0
6.772 -3.919 0.000
6.772 3.919 0.000
-5.950 0.000 7.487
Cs H S O F
2 2 4 12 4
Direct
0.116 0.884 0.750
0.884 0.116 0.250
0.000 0.500 0.000
0.500 0.000 0.500
0.176 0.484 0.281
0.484 0.176 0.781
0.516 0.824 0.219
0.824 0.516 0.719
0.065 0.391 0.082
0.139 0.710 0.350
0.164 0.399 0.375
0.290 0.861 0.150
0.391 0.065 0.582
0.399 0.164 0.875
0.601 0.836 0.125
0.609 0.935 0.418
0.710 0.139 0.850
0.836 0.601 0.625
0.861 0.290 0.650
0.935 0.609 0.918
0.382 0.421 0.797
0.421 0.382 0.297
0.579 0.618 0.703
0.618 0.579 0.203
```

Calculated values
**Final energy**: -5.43 eV/atom
**Theoretical density**: 2.77 g/cm3
**Formation energy from the elements**: -2.013 eV/atom



[10]
This record from Materials Project describes crystalline Cs2HfF6 at its relaxed geometry. The functional is PBE.

Structure (POSCAR):
```
Cs2HfF6
1.0
6.482 0.000 0.000
-3.241 5.614 0.000
0.000 0.000 5.140
Cs Hf F
2 1 6
Direct
0.333 0.667 0.191
0.667 0.333 0.809
0.000 0.000 0.500
0.149 0.299 0.717
0.149 0.851 0.717
0.299 0.149 0.283
0.701 0.851 0.717
0.851 0.149 0.283
0.851 0.701 0.283
```

Calculated values
**Final energy**: -6.04 eV/atom
**Theoretical density**: 4.96 g/cm3
**Formation energy from the elements**: -3.765 eV/atom



[11]
This record from Materials Project describes crystalline Cs2HgF4 at its relaxed geometry. The functional is PBE.

Structure (POSCAR):
```
Cs2HgF4
1.0
-2.377 2.377 7.330
2.377 -2.377 7.330
2.377 2.377 -7.330
Cs Hg F
2 1 4
Direct
0.143 0.143 0.000
0.857 0.857 0.000
0.500 0.500 0.000
0.000 0.500 0.500
0.345 0.345 0.000
0.500 0.000 0.500
0.655 0.655 0.000
```

Calculated values
**Final energy**: -3.57 eV/atom
**Theoretical density**: 5.44 g/cm3
**Formation energy from the elements**: -2.444 eV/atom



[12]
This record from Materials Project describes crystalline Cs2TaHgF6 at its relaxed geometry. The functional is PBE.

Structure (POSCAR):
```
Cs2TaHgF6
1.0
0.000 5.035 5.035
5.035 0.000 5.035
5.035 5.035 0.000
Cs Ta Hg F
2 1 1 6
Direct
0.250 0.250 0.250
0.750 0.750 0.750
0.000 0.000 0.000
0.500 0.500 0.500
0.199 0.199 0.801
0.199 0.801 0.199
0.199 0.801 0.801
0.801 0.199 0.199
0.801 0.199 0.801
0.801 0.801 0.199
```

Calculated values
**Final energy**: -5.13 eV/atom
**Theoretical density**: 4.95 g/cm3
**Formation energy from the elements**: -2.868 eV/atom



[13]
This record from Materials Project describes crystalline Cs2TlHgF6 at its relaxed geometry. The functional is PBE.

Structure (POSCAR):
```
Cs2TlHgF6
1.0
0.000 4.731 4.731
4.731 0.000 4.731
4.731 4.731 0.000
Cs Tl Hg F
2 1 1 6
Direct
0.250 0.250 0.250
0.750 0.750 0.750
0.000 0.000 0.000
0.500 0.500 0.500
0.251 0.251 0.749
0.251 0.749 0.251
0.251 0.749 0.749
0.749 0.251 0.251
0.749 0.251 0.749
0.749 0.749 0.251
```

Calculated values
**Final energy**: -3.67 eV/atom
**Theoretical density**: 6.15 g/cm3
**Formation energy from the elements**: -2.348 eV/atom



no.,E (MP2020) (hartree per atom)
1,-0.1740
2,-0.1735
3,-0.1854
4,-0.1799
5,-0.1845
6,-0.1523
7,-0.1760
8,-0.2305
9,-0.2151
10,-0.2332
11,-0.1410
12,-0.1989
13,-0.1449